Record 1
Entry from Materials Project: a relaxed structure of NaNd2OsO6 (meta-GGA r2SCAN).

Values from the calculation:
VASP energy   -17.738 eV/atom
Magnetization   0.30 μB/atom
ρ   7.6 g cm⁻³

The structure in extended XYZ format:
```
20
Lattice="5.518 0.000 0.000 0.000 5.941 0.000 -5.351 0.000 7.951" Properties=species:S:1:pos:R:3 pbc="T T T"
Na 0.000 0.000 0.000
Na -2.675 2.971 3.975
Nd -2.753 0.425 5.935
Nd -0.078 2.546 1.960
Nd 0.245 3.395 5.991
Nd 2.921 5.516 2.015
Os 0.084 0.000 3.975
Os 2.759 2.971 0.000
O -1.546 1.037 3.567
O -4.221 1.933 7.542
O -0.844 4.269 3.431
O -3.520 4.643 7.407
O 0.705 0.297 2.128
O -1.970 2.674 6.103
O 2.137 3.267 1.848
O -0.538 5.644 5.823
O 3.687 1.298 0.544
O 1.012 1.672 4.519
O 4.388 4.008 0.409
O 1.713 4.904 4.384
```

Record 2
Entry from Materials Project: a relaxed structure of NaNdP4O12 (meta-GGA r2SCAN).

Values from the calculation:
VASP energy   -10.492 eV/atom
Magnetization   0.00 μB/atom
ρ   3.4 g cm⁻³

The structure in extended XYZ format:
```
72
Lattice="7.186 0.000 0.000 0.000 13.119 0.000 -7.085 0.000 9.936" Properties=species:S:1:pos:R:3 pbc="T T T"
Na -0.007 2.919 0.649
Na -3.550 3.640 5.617
Na 3.650 9.479 4.319
Na 0.107 10.200 9.287
Nd -3.599 2.858 9.702
Nd -0.056 3.702 4.734
Nd 0.156 9.418 5.202
Nd 3.699 10.261 0.234
P -1.796 7.874 2.571
P -5.339 11.805 7.539
P -4.365 8.072 7.294
P -0.822 11.607 2.326
P 1.057 8.243 1.932
P -2.486 11.436 6.900
P -1.892 1.174 6.922
P 1.650 5.385 1.954
P -1.550 7.734 7.982
P 1.992 11.945 3.014
P 2.586 1.684 3.036
P -0.957 4.876 8.004
P 0.922 1.513 7.610
P 4.465 5.047 2.642
P 5.439 1.314 2.397
P 1.896 5.246 7.365
O -5.042 6.744 7.814
O -1.499 12.935 2.846
O -5.740 1.924 8.939
O -2.198 4.635 3.971
O -0.516 8.177 1.687
O -4.059 11.502 6.655
O -1.517 7.973 4.032
O -5.060 11.706 9.000
O -0.622 2.153 2.909
O -4.164 4.406 7.877
O -4.458 9.046 8.406
O -0.915 10.633 3.438
O -2.853 7.619 7.070
O 0.689 12.060 2.102
O 1.542 9.321 1.029
O -2.001 10.358 5.997
O -1.684 2.106 5.782
O 1.858 4.453 0.814
O 1.554 6.854 1.329
O -1.988 12.825 6.297
O -3.044 1.434 7.825
O 0.499 5.126 2.857
O 2.299 1.754 1.582
O -1.244 4.806 6.550
O 1.344 8.314 3.386
O -2.199 11.365 8.354
O -0.399 7.994 7.079
O 3.144 11.685 2.111
O 2.088 0.294 3.639
O -1.454 6.266 8.607
O -1.758 8.666 9.122
O 1.784 11.013 4.154
O 2.101 2.762 3.939
O -1.442 3.798 8.907
O -0.589 1.059 7.834
O 2.953 5.500 2.866
O 1.016 2.487 6.498
O 4.558 4.073 1.530
O 4.265 8.713 2.059
O 0.722 10.966 7.027
O 5.160 1.413 0.936
O 1.617 5.147 5.904
O 4.159 1.617 3.281
O 0.616 4.942 8.249
O 2.298 8.484 5.965
O 5.840 11.195 0.997
O 1.599 0.185 7.090
O 5.142 6.375 2.122
```

Record 3
Entry from Materials Project: a relaxed structure of NaNd2Se3 (meta-GGA r2SCAN).

Values from the calculation:
VASP energy   -19.571 eV/atom
Magnetization   0.00 μB/atom
ρ   5.7 g cm⁻³

The structure in extended XYZ format:
```
6
Lattice="-2.103 2.978 6.371 2.103 -2.978 6.371 2.103 2.978 -6.371" Properties=species:S:1:pos:R:3 pbc="T T T"
Na 0.000 0.000 0.000
Nd 0.000 0.000 4.280
Nd 0.000 0.000 8.463
Se 2.103 0.000 2.132
Se 0.000 2.978 0.000
Se 0.000 2.978 4.240
```